Here is Sr3SmFe2O8 after structural relaxation from the Materials Project database. Energies are from PBE with a Hubbard U.

CIF file:
```
data_Sr3SmFe2O8
_chemical_formula_sum 'Sr6 Sm2 Fe4 O16'
_cell_length_a 5.4762
_cell_length_b 5.4655
_cell_length_c 12.6745
_cell_angle_alpha 90.00
_cell_angle_beta 90.00
_cell_angle_gamma 90.00
_symmetry_space_group_name_H-M 'A m m 2'
_symmetry_Int_Tables_number 38
loop_
_symmetry_equiv_pos_as_xyz
'x,y,z'
'-x,-y,z'
'-x,y,z'
'x,-y,z'
'x,y+1/2,z+1/2'
'-x,-y+1/2,z+1/2'
'-x,y+1/2,z+1/2'
'x,-y+1/2,z+1/2'
loop_
_atom_site_label
_atom_site_type_symbol
_atom_site_fract_x
_atom_site_fract_y
_atom_site_fract_z
Sr1 Sr 0.0000 0.0000 0.0000
Sr2 Sr 0.0000 0.0000 0.2915
Sr3 Sr 0.5000 0.0000 0.7921
Sm1 Sm 0.5000 0.0000 0.5067
Fe1 Fe 0.0000 0.0000 0.6488
Fe2 Fe 0.5000 0.0000 0.1427
O1 O 0.0000 0.0000 0.4859
O2 O 0.0000 0.0000 0.8041
O3 O 0.2596 0.2494 0.6420
O4 O 0.5000 0.0000 0.3286
O5 O 0.5000 0.0000 0.9818
```

Results
**Corrected total energy (MP2020 scheme)**: -7.431 eV per atom
**Final energy**: -6.716 eV/atom
**Mass density**: 5.716 g/cm³
**Energy of formation from the pure elements**: -2.6946 eV per atom